1.
Computed, not measured: crystalline K2CeCu2S4 at its relaxed geometry at the PBE level of DFT.

The structure belongs to space group C2/m (No. 12); the cell edges are 14.465, 3.995 and 7.554 Å and the angles 90.00°, 109.94° and 90.00°. Symmetry generates all atoms from K at (0.137, 0.000, 0.063), Ce at (0.000, 0.000, 0.500), Cu at (0.179, 0.500, 0.486), S at (0.021, 0.500, 0.265) and S at (0.201, 0.000, 0.672).

The energy is -87.20 eV per cell. Its total moment is 0.001 μB per formula unit. For the calculated formation energy, the calculation gives -12.71 eV/f.u.



2.
Computed, not measured: crystalline KCe2CuSe6 at its relaxed geometry at the PBE level of DFT.

The structure belongs to space group Fddd (No. 70, origin choice 2); the cell edges are 8.265, 11.571 and 44.452 Å and the angles 90.00°, 90.00° and 90.00°. Symmetry generates all atoms from K at (0.123, 0.375, 0.375), Ce at (0.125, 0.125, 0.287), Ce at (0.125, 0.125, 0.463), Cu at (0.125, 0.125, 0.538), Se at (0.124, 0.272, 0.576), Se at (0.124, 0.373, 0.989) and Se at (0.125, 0.014, 0.071).

The energy is -804.43 eV per cell. Its total moment is 0.004 μB per formula unit. For the calculated formation energy, the calculation gives -15.06 eV/f.u.